An optimized crystal structure of MgMn6O6F6. Source: Materials Project, functional PBE+U.

Computed properties:
Density (g cm⁻³): 4.0
Energy relative to the elements (meV per atom): -2421
Relative energy among the computed polymorphs (eV/f.u.): 0.76
Volume (A^3/atom): 12.231

abc: 3.043 5.260 14.572
angles: 94.83 90.46 90.20
Space group P1 (No. 1)
Symmetry-distinct sites (fractional):
Mg  0.000  0.000  0.000
Mn  0.448  0.483  0.340
Mn  0.454  0.574  0.657
Mn  0.493  0.506  0.989
Mn  0.948  0.108  0.503
Mn  0.954  0.891  0.188
Mn  0.970  0.045  0.809
O  0.449  0.269  0.569
O  0.466  0.881  0.746
O  0.481  0.155  0.905
O  0.497  0.851  0.073
O  0.948  0.624  0.276
O  0.950  0.350  0.406
F  0.449  0.897  0.443
F  0.451  0.127  0.245
F  0.951  0.751  0.590
F  0.958  0.397  0.731
F  0.989  0.686  0.913
F  0.995  0.339  0.065



An optimized crystal structure of Li3Mn5OF11. Source: Materials Project, functional PBE+U.

Computed properties:
Density (g cm⁻³): 3.5
Energy relative to the elements (meV per atom): -2340
Relative energy among the computed polymorphs (eV/f.u.): 10.66
Volume (A^3/atom): 12.272

abc: 5.413 5.723 9.429
angles: 73.71 89.32 62.14
Space group P1 (No. 1)
Symmetry-distinct sites (fractional):
Li  0.000  0.000  0.000
Li  0.056  0.230  0.349
Li  0.577  0.722  0.868
Mn  0.257  0.239  0.749
Mn  0.313  0.472  0.095
Mn  0.527  0.490  0.493
Mn  0.747  0.732  0.254
Mn  0.824  0.933  0.600
O  0.770  0.622  0.444
F  0.231  0.456  0.293
F  0.254  0.129  0.948
F  0.268  0.830  0.651
F  0.299  0.881  0.195
F  0.314  0.580  0.894
F  0.367  0.235  0.550
F  0.711  0.979  0.806
F  0.756  0.318  0.136
F  0.813  0.371  0.706
F  0.836  0.070  0.400
F  0.856  0.720  0.052